[1]
Here is a relaxed BaYCuSnO5 crystal from the Materials Project. Energies are from PBE.

a b c (Å): 3.987 3.987 8.492
angles (deg): 90.00 90.00 90.00
Space group P4mm (No. 99)
Symmetry-distinct sites (fractional):
Ba 0.000 0.000 0.000
Y 0.000 0.000 0.409
Cu 0.500 0.500 0.243
Sn 0.500 0.500 0.666
O 0.000 0.500 0.246
O 0.000 0.500 0.586
O 0.500 0.500 0.902

Results
Corrected total energy (MP2020 scheme) ... -63.67 eV/f.u.
Formation energy from the elements ... -2493 meV/atom
Magnetic moment ... 0.0 μB per formula unit

***

[2]
Here is a relaxed TmGe2 crystal from the Materials Project. Energies are from PBE.

a b c (Å): 4.045 15.775 3.900
angles (deg): 90.00 90.00 90.00
Space group Cmcm (No. 63)
Symmetry-distinct sites (fractional):
Tm 0.000 0.103 0.250
Ge 0.000 0.254 0.750
Ge 0.000 0.446 0.250

Results
Formation energy from the elements ... -599 meV/atom

***

[3]
Here is a relaxed Ca3AlAs3 crystal from the Materials Project. Energies are from PBE.

a b c (Å): 12.306 4.219 13.485
angles (deg): 90.00 90.00 90.00
Space group Pnma (No. 62)
Symmetry-distinct sites (fractional):
Ca 0.066 0.250 0.107
Ca 0.147 0.750 0.501
Ca 0.228 0.750 0.787
Al 0.061 0.250 0.702
As 0.041 0.250 0.351
As 0.104 0.250 0.886
As 0.247 0.250 0.625

Results
Formation energy from the elements ... -1064 meV/atom

***

[4]
Here is a relaxed FeCuSeS crystal from the Materials Project. Energies are from PBE.

a b c (Å): 5.348 5.374 10.610
angles (deg): 90.00 90.00 90.00
Space group I2_12_12_1 (No. 24)
Symmetry-distinct sites (fractional):
Fe 0.000 0.250 0.113
Cu 0.000 0.250 0.613
Se 0.240 0.500 0.250
S 0.250 0.005 0.000

Results
Corrected total energy (MP2020 scheme) ... -21.48 eV/f.u.
Formation energy from the elements ... -319 meV/atom
Magnetic moment ... 3.1 μB per formula unit